(1)
Below is a geometry-optimized PtRh3 structure, with properties calculated at the PBE level.

abc: 3.884 3.884 3.884
angles: 90.00 90.00 90.00
Space group Pm-3m (No. 221)
Asymmetric unit:
Pt 0.000 0.000 0.000 x1
Rh 0.000 0.500 0.500 x3

Summary:
Crystal system: cubic
ΔH_f (0 K) (eV/atom): 0.0036

(2)
Below is a geometry-optimized CsGe2N3 structure, with properties calculated at the PBE level.

abc: 10.271 6.181 5.484
angles: 90.00 90.00 90.00
Space group Cmc2_1 (No. 36)
Asymmetric unit:
Cs 0.000 0.153 0.000 x4
Ge 0.174 0.363 0.496 x8
N 0.000 0.335 0.507 x4
N 0.243 0.384 0.165 x8

Summary:
Crystal system: orthorhombic
Total magnetization (μB/cell): 0.00
ΔH_f (0 K) (eV/atom): -0.0810

(3)
Below is a geometry-optimized Y4In20Ni11 structure, with properties calculated at the PBE level.

abc: 22.606 4.343 16.668
angles: 90.00 123.76 90.00
Space group C2/m (No. 12)
Asymmetric unit:
Y 0.118 0.000 0.332 x4
Y 0.228 0.000 0.826 x4
In 0.012 0.000 0.096 x4
In 0.041 0.500 0.377 x4
In 0.064 0.000 0.790 x4
In 0.100 0.500 0.991 x4
In 0.113 0.000 0.551 x4
In 0.113 0.500 0.691 x4
In 0.128 0.500 0.197 x4
In 0.202 0.500 0.502 x4
In 0.203 0.000 0.003 x4
In 0.245 0.000 0.290 x4
Ni 0.000 0.500 0.500 x2
Ni 0.008 0.500 0.194 x4
Ni 0.021 0.000 0.601 x4
Ni 0.138 0.000 0.104 x4
Ni 0.154 0.500 0.879 x4
Ni 0.248 0.500 0.383 x4

Summary:
Crystal system: monoclinic
Total magnetization (μB/cell): 0.01
ΔH_f (0 K) (eV/atom): -0.2729

(4)
Below is a geometry-optimized Pr2Si3Pd structure, with properties calculated at the PBE level.

abc: 8.2889 8.2889 8.6064
angles: 90.00 90.00 120.00
Space group P6_3/mmc (No. 194)
Asymmetric unit:
Pr 0.0000 0.0000 0.2500 x2
Pr 0.0043 0.5021 0.2500 x6
Si 0.1657 0.3314 0.0026 x12
Pd 0.3333 0.6667 0.5079 x4

Summary:
Crystal system: hexagonal
Total magnetization (μB/cell): 0.01
ΔH_f (0 K) (eV/atom): -0.8913

(5)
Below is a geometry-optimized Tm2TeO6 structure, with properties calculated at the PBE level.

abc: 5.240 9.027 9.892
angles: 90.00 90.00 90.00
Space group P2_12_12_1 (No. 19)
Asymmetric unit:
Tm 0.023 0.103 0.459 x4
Tm 0.038 0.218 0.865 x4
Te 0.040 0.494 0.355 x4
O 0.086 0.843 0.024 x4
O 0.174 0.950 0.298 x4
O 0.178 0.643 0.823 x4
O 0.188 0.642 0.239 x4
O 0.233 0.115 0.064 x4
O 0.249 0.586 0.498 x4

Summary:
Crystal system: orthorhombic
Offset from the most stable computed form (eV/atom): 0.004
ΔH_f (0 K) (eV/atom): -3.0495
Largest piezoelectric modulus (C/m2): 0.37

(6)
Below is a geometry-optimized Al3Si3Pb2O13 structure, with properties calculated at the PBE level.

abc: 15.904 5.892 10.950
angles: 90.00 90.00 90.00
Space group Pnma (No. 62)
Asymmetric unit:
Al 0.115 0.250 0.160 x4
Al 0.242 0.504 0.815 x8
Si 0.076 0.750 0.708 x4
Si 0.094 0.750 0.413 x4
Si 0.163 0.750 0.069 x4
Pb 0.047 0.250 0.862 x4
Pb 0.131 0.250 0.553 x4
O 0.005 0.750 0.339 x4
O 0.013 0.250 0.226 x4
O 0.063 0.750 0.558 x4
O 0.105 0.520 0.080 x8
O 0.132 0.525 0.746 x8
O 0.151 0.526 0.388 x8
O 0.204 0.250 0.900 x4
O 0.214 0.750 0.937 x4
O 0.217 0.250 0.224 x4
O 0.232 0.750 0.185 x4

Summary:
Crystal system: orthorhombic
Total magnetization (μB/cell): 4.00
ΔH_f (0 K) (eV/atom): -2.8897